Record 1
Density functional theory data (PBE) for crystalline Ca6Hf19O44 at its relaxed geometry.

a b c (Å): 12.091 12.091 12.091
angles (deg): 98.08 98.08 98.08
Fractional coordinates of all 138 atoms:
Hf 0.552 0.379 0.342
Hf 0.142 0.576 0.551
Hf 0.658 0.448 0.621
Hf 0.948 0.158 0.121
Hf 0.158 0.121 0.948
Hf 0.052 0.842 0.879
Hf 0.062 0.250 0.438
Hf 0.643 0.250 0.857
Hf 0.438 0.062 0.250
Hf 0.379 0.342 0.552
Hf 0.938 0.750 0.562
Hf 0.857 0.643 0.250
Hf 0.357 0.750 0.143
Hf 0.750 0.143 0.357
Hf 0.076 0.642 0.051
Hf 0.250 0.438 0.062
Hf 0.949 0.924 0.358
Hf 0.449 0.858 0.424
Hf 0.842 0.879 0.052
Hf 0.562 0.938 0.750
Hf 0.924 0.358 0.949
Hf 0.576 0.551 0.142
Hf 0.143 0.357 0.750
Hf 0.358 0.949 0.924
Hf 0.121 0.948 0.158
Hf 0.750 0.750 0.750
Hf 0.879 0.052 0.842
Hf 0.750 0.562 0.938
Hf 0.424 0.449 0.858
Hf 0.642 0.051 0.076
Hf 0.621 0.658 0.448
Hf 0.448 0.621 0.658
Hf 0.551 0.142 0.576
Hf 0.250 0.857 0.643
Hf 0.051 0.076 0.642
Hf 0.858 0.424 0.449
Hf 0.250 0.250 0.250
Hf 0.342 0.552 0.379
Ca 0.950 0.550 0.750
Ca 0.250 0.666 0.834
Ca 0.750 0.950 0.550
Ca 0.334 0.166 0.750
Ca 0.450 0.250 0.050
Ca 0.834 0.250 0.666
Ca 0.166 0.750 0.334
Ca 0.666 0.834 0.250
Ca 0.250 0.050 0.450
Ca 0.550 0.750 0.950
Ca 0.750 0.334 0.166
Ca 0.050 0.450 0.250
O 0.607 0.607 0.607
O 0.005 0.815 0.044
O 0.701 0.301 0.348
O 0.652 0.299 0.699
O 0.393 0.182 0.585
O 0.541 0.951 0.580
O 0.152 0.199 0.799
O 0.070 0.252 0.266
O 0.369 0.801 0.985
O 0.185 0.956 0.995
O 0.734 0.930 0.748
O 0.505 0.544 0.315
O 0.301 0.869 0.485
O 0.515 0.699 0.131
O 0.085 0.682 0.893
O 0.869 0.485 0.301
O 0.109 0.745 0.567
O 0.067 0.245 0.609
O 0.391 0.933 0.755
O 0.348 0.701 0.301
O 0.015 0.631 0.199
O 0.752 0.570 0.766
O 0.609 0.067 0.245
O 0.682 0.893 0.085
O 0.585 0.393 0.182
O 0.685 0.495 0.456
O 0.848 0.801 0.201
O 0.766 0.752 0.570
O 0.107 0.107 0.107
O 0.631 0.199 0.015
O 0.182 0.585 0.393
O 0.985 0.369 0.801
O 0.299 0.699 0.652
O 0.266 0.070 0.252
O 0.495 0.456 0.685
O 0.459 0.049 0.420
O 0.107 0.915 0.318
O 0.570 0.766 0.752
O 0.959 0.920 0.549
O 0.315 0.505 0.544
O 0.199 0.799 0.152
O 0.433 0.891 0.255
O 0.044 0.005 0.815
O 0.049 0.420 0.459
O 0.607 0.818 0.415
O 0.915 0.318 0.107
O 0.131 0.515 0.699
O 0.567 0.109 0.745
O 0.199 0.015 0.631
O 0.699 0.652 0.299
O 0.318 0.107 0.915
O 0.080 0.451 0.041
O 0.893 0.893 0.893
O 0.755 0.391 0.933
O 0.951 0.580 0.541
O 0.415 0.607 0.818
O 0.393 0.393 0.393
O 0.485 0.301 0.869
O 0.956 0.995 0.185
O 0.420 0.459 0.049
O 0.748 0.734 0.930
O 0.301 0.348 0.701
O 0.245 0.609 0.067
O 0.255 0.433 0.891
O 0.933 0.755 0.391
O 0.248 0.430 0.234
O 0.799 0.152 0.199
O 0.815 0.044 0.005
O 0.745 0.567 0.109
O 0.201 0.848 0.801
O 0.818 0.415 0.607
O 0.234 0.248 0.430
O 0.544 0.315 0.505
O 0.801 0.985 0.369
O 0.451 0.041 0.080
O 0.930 0.748 0.734
O 0.699 0.131 0.515
O 0.041 0.080 0.451
O 0.252 0.266 0.070
O 0.801 0.201 0.848
O 0.995 0.185 0.956
O 0.893 0.085 0.682
O 0.430 0.234 0.248
O 0.580 0.541 0.951
O 0.549 0.959 0.920
O 0.920 0.549 0.959
O 0.891 0.255 0.433
O 0.456 0.685 0.495

Properties
Electronic total energy, eV per cell: -1317.677
Total magnetic moment, μB/f.u.: 0.00
Space-group type: R-3c (167)
Energy of formation from the pure elements, eV/atom: -3.915

=====

Record 2
Density functional theory data (PBE) for crystalline CaHf3P2S4O24 at its relaxed geometry.

a b c (Å): 8.964 8.987 23.151
angles (deg): 90.07 90.02 119.96
Fractional coordinates of all 102 atoms:
O 0.177 0.974 0.905
O 0.522 0.656 0.570
O 0.172 0.967 0.198
O 0.495 0.131 0.927
O 0.025 0.204 0.905
O 0.196 0.220 0.414
O 0.496 0.863 0.364
O 0.476 0.107 0.634
O 0.192 0.169 0.092
O 0.823 0.019 0.090
O 0.866 0.361 0.929
O 0.207 0.016 0.302
O 0.977 0.170 0.592
O 0.639 0.507 0.927
O 0.197 0.022 0.591
O 0.188 0.177 0.802
O 0.030 0.809 0.414
O 0.847 0.545 0.031
O 0.824 0.010 0.802
O 0.977 0.802 0.091
O 0.630 0.523 0.634
O 0.454 0.155 0.532
O 0.344 0.866 0.570
O 0.139 0.482 0.567
O 0.536 0.699 0.969
O 0.983 0.192 0.302
O 0.291 0.827 0.257
O 0.168 0.713 0.759
O 0.446 0.303 0.746
O 0.681 0.544 0.242
O 0.162 0.466 0.969
O 0.700 0.154 0.031
O 0.797 0.967 0.699
O 0.810 0.793 0.302
O 0.825 0.800 0.591
O 0.303 0.837 0.969
O 0.480 0.373 0.136
O 0.797 0.823 0.905
O 0.619 0.129 0.427
O 0.365 0.866 0.863
O 0.865 0.323 0.241
O 0.136 0.658 0.069
O 0.502 0.634 0.863
O 0.032 0.831 0.699
O 0.505 0.380 0.428
O 0.695 0.140 0.747
O 0.287 0.455 0.759
O 0.036 0.208 0.198
O 0.519 0.866 0.069
O 0.874 0.500 0.426
O 0.794 0.827 0.198
O 0.698 0.544 0.532
O 0.323 0.477 0.469
O 0.786 0.972 0.415
O 0.544 0.831 0.759
O 0.125 0.628 0.366
O 0.632 0.105 0.134
O 0.897 0.526 0.133
O 0.535 0.704 0.257
O 0.857 0.557 0.747
O 0.514 0.840 0.470
O 0.171 0.465 0.258
O 0.464 0.302 0.030
O 0.992 0.816 0.803
O 0.457 0.133 0.242
O 0.343 0.484 0.067
O 0.837 0.301 0.530
O 0.169 0.202 0.699
O 0.153 0.675 0.469
O 0.370 0.496 0.366
O 0.129 0.497 0.863
O 0.892 0.374 0.636
S 0.713 0.990 0.752
S 0.009 0.725 0.752
S 0.345 0.389 0.418
S 0.961 0.629 0.082
S 0.047 0.658 0.418
S 0.667 0.039 0.082
S 0.278 0.285 0.752
S 0.008 0.294 0.251
S 0.710 0.715 0.250
S 0.372 0.041 0.583
S 0.669 0.626 0.583
S 0.285 0.993 0.251
Ca 0.664 0.334 0.185
Ca 0.673 0.335 0.690
Ca 0.997 0.001 0.360
P 0.043 0.382 0.917
P 0.336 0.952 0.917
P 0.374 0.334 0.082
P 0.958 0.334 0.583
P 0.618 0.665 0.916
P 0.611 0.951 0.418
Hf 0.333 0.662 0.019
Hf 0.007 0.007 0.145
Hf 0.001 0.001 0.862
Hf 0.672 0.325 0.478
Hf 0.331 0.665 0.815
Hf 0.998 0.005 0.644
Hf 0.658 0.332 0.977
Hf 0.334 0.666 0.522
Hf 0.339 0.673 0.309

Properties
Electronic total energy, eV per cell: -768.035
Total magnetic moment, μB/f.u.: 0.00
Space-group type: P1 (1)
Energy of formation from the pure elements, eV/atom: -2.779

=====

> The lowest energy of formation from the pure elements belongs to which entry?

Ca6Hf19O44